DFT (PBE) results for crystalline Hf2TiNi3 at its relaxed geometry.

a b c (Å): 14.5218 13.7950 7.7167
angles (deg): 79.45 69.05 31.49
Fractional coordinates of all 48 atoms:
1 Hf 0.8104 0.3393 0.1885
2 Hf 0.5308 0.9692 0.5308
3 Hf 0.2808 0.7192 0.2808
4 Hf 0.1597 0.1597 0.8403
5 Hf 0.7192 0.2808 0.7192
6 Hf 0.4097 0.4097 0.0903
7 Hf 0.3393 0.8104 0.6618
8 Hf 0.5882 0.0615 0.9107
9 Hf 0.9692 0.5308 0.9692
10 Hf 0.0903 0.0903 0.4097
11 Hf 0.8403 0.8403 0.1597
12 Hf 0.0615 0.5882 0.4396
13 Hf 0.1885 0.6618 0.8104
14 Hf 0.4396 0.9107 0.0615
15 Hf 0.6618 0.1885 0.3393
16 Hf 0.9107 0.4396 0.5882
17 Ni 0.4624 0.7278 0.2759
18 Ni 0.9331 0.0702 0.3516
19 Ni 0.8984 0.6049 0.3169
20 Ni 0.5339 0.2759 0.7278
21 Ni 0.7161 0.9741 0.5222
22 Ni 0.9332 0.2259 0.7946
23 Ni 0.4554 0.2036 0.3168
24 Ni 0.3168 0.0241 0.4554
25 Ni 0.6049 0.8984 0.1798
26 Ni 0.2259 0.9332 0.0464
27 Ni 0.0241 0.3168 0.2036
28 Ni 0.0464 0.7946 0.2259
29 Ni 0.6451 0.3516 0.0702
30 Ni 0.2759 0.5339 0.4624
31 Ni 0.2036 0.4554 0.0241
32 Ni 0.3169 0.1798 0.8984
33 Ni 0.7876 0.5222 0.9741
34 Ni 0.9741 0.7161 0.7876
35 Ni 0.3516 0.6451 0.9331
36 Ni 0.7278 0.4624 0.5339
37 Ni 0.1798 0.3169 0.6049
38 Ni 0.5222 0.7876 0.7161
39 Ni 0.0702 0.9331 0.6451
40 Ni 0.7946 0.0464 0.9332
41 Ti 0.9171 0.9171 0.5829
42 Ti 0.7500 0.7500 0.7500
43 Ti 0.0000 0.0000 0.0000
44 Ti 0.6671 0.6671 0.3329
45 Ti 0.3329 0.3329 0.6671
46 Ti 0.2500 0.2500 0.2500
47 Ti 0.5829 0.5829 0.9171
48 Ti 0.5000 0.5000 0.5000

Properties
Size of the total moment: 0.0 μB/cell
ΔH_f (0 K): -39.6 kJ/mol of atoms
Calculated total energy: -380.9 eV per cell
Space-group type: Fddd, No. 70
Calculated volume: 15.21 A^3/atom
ρ: 10.57 g/cm3

DFT (PBE) results for crystalline Hf2P2O9 at its relaxed geometry.

a b c (Å): 5.4880 5.4880 11.8942
angles (deg): 90.00 90.00 105.24
Fractional coordinates of all 26 atoms:
1 O 0.6342 0.0140 0.0832
2 O 0.8658 0.4860 0.5832
3 O 0.0140 0.6342 0.9168
4 O 0.0651 0.9349 0.1247
5 O 0.3588 0.6412 0.2282
6 O 0.5651 0.4349 0.3753
7 O 0.0000 0.0000 0.5000
8 O 0.5000 0.5000 0.0000
9 O 0.4349 0.5651 0.6247
10 O 0.8588 0.1412 0.2718
11 O 0.6412 0.3588 0.7718
12 O 0.9860 0.3658 0.0832
13 O 0.9349 0.0651 0.8753
14 O 0.4860 0.8658 0.4168
15 O 0.3658 0.9860 0.9168
16 O 0.1412 0.8588 0.7282
17 O 0.1342 0.5140 0.4168
18 O 0.5140 0.1342 0.5832
19 Hf 0.7059 0.2941 0.9384
20 Hf 0.7941 0.2059 0.4384
21 Hf 0.2059 0.7941 0.5616
22 Hf 0.2941 0.7059 0.0616
23 P 0.8941 0.1059 0.1471
24 P 0.6059 0.3941 0.6471
25 P 0.1059 0.8941 0.8529
26 P 0.3941 0.6059 0.3529

Properties
ΔH_f (0 K): -327.1 kJ/mol of atoms
Calculated total energy: -226.3 eV per cell
Offset from the most stable computed form: 8 meV per atom
Space-group type: Cmce, No. 64
Calculated volume: 13.29 A^3/atom
ρ: 5.41 g/cm3

Among the records above, which one has the highest ρ?
Hf2TiNi3